{
  "formula": "WSeS",
  "functional": "PBE",
  "state": "optimized geometry",
  "dft_energy_ev_per_fu": -22.62,
  "formation_energy_ev_per_atom": -0.846,
  "cell": [[3.257, 0.000, 0.000], [-1.629, 2.821, 0.000], [0.000, 0.000, 14.916]],
  "species": ["W", "W", "Se", "Se", "S", "S"],
  "frac_coords": [[0.333, 0.667, 0.242], [0.667, 0.333, 0.758], [0.333, 0.667, 0.643], [0.667, 0.333, 0.357], [0.333, 0.667, 0.861], [0.667, 0.333, 0.139]]
}

{
  "formula": "Cs3AsCl6",
  "functional": "PBE",
  "state": "optimized geometry",
  "dft_energy_ev_per_fu": -32.96,
  "formation_energy_ev_per_atom": -1.821,
  "cell": [[0.000, 5.778, 5.778], [5.778, 0.000, 5.778], [5.778, 5.778, 0.000]],
  "species": ["Cs", "Cs", "Cs", "As", "Cl", "Cl", "Cl", "Cl", "Cl", "Cl"],
  "frac_coords": [[0.000, 0.000, 0.000], [0.250, 0.250, 0.250], [0.750, 0.750, 0.750], [0.500, 0.500, 0.500], [0.282, 0.282, 0.718], [0.282, 0.718, 0.282], [0.282, 0.718, 0.718], [0.718, 0.282, 0.282], [0.718, 0.282, 0.718], [0.718, 0.718, 0.282]]
}

{
  "formula": "RbTa7Cu3O21",
  "functional": "PBE",
  "state": "optimized geometry",
  "dft_energy_ev_per_fu": -275.02,
  "formation_energy_ev_per_atom": -2.789,
  "cell": [[7.681, 0.000, 0.000], [0.000, 3.776, 14.246], [0.000, -3.776, 14.246]],
  "species": ["Rb", "Rb", "Ta", "Ta", "Ta", "Ta", "Ta", "Ta", "Ta", "Ta", "Ta", "Ta", "Ta", "Ta", "Ta", "Ta", "Cu", "Cu", "Cu", "Cu", "Cu", "Cu", "O", "O", "O", "O", "O", "O", "O", "O", "O", "O", "O", "O", "O", "O", "O", "O", "O", "O", "O", "O", "O", "O", "O", "O", "O", "O", "O", "O", "O", "O", "O", "O", "O", "O", "O", "O", "O", "O", "O", "O", "O", "O"],
  "frac_coords": [[0.000, 0.000, 0.000], [0.500, 0.002, 0.002], [0.246, 0.366, 0.862], [0.246, 0.862, 0.366], [0.250, 0.005, 0.496], [0.250, 0.496, 0.005], [0.251, 0.133, 0.640], [0.251, 0.640, 0.133], [0.252, 0.500, 0.500], [0.748, 0.500, 0.500], [0.749, 0.133, 0.640], [0.749, 0.640, 0.133], [0.750, 0.005, 0.496], [0.750, 0.496, 0.005], [0.754, 0.366, 0.862], [0.754, 0.862, 0.366], [0.000, 0.185, 0.185], [0.000, 0.320, 0.320], [0.000, 0.818, 0.818], [0.500, 0.181, 0.181], [0.500, 0.321, 0.321], [0.500, 0.683, 0.683], [0.000, 0.088, 0.435], [0.000, 0.196, 0.551], [0.000, 0.414, 0.810], [0.000, 0.435, 0.088], [0.000, 0.506, 0.506], [0.000, 0.551, 0.196], [0.000, 0.810, 0.414], [0.186, 0.004, 0.367], [0.186, 0.367, 0.004], [0.194, 0.901, 0.901], [0.217, 0.100, 0.100], [0.218, 0.646, 0.984], [0.218, 0.984, 0.646], [0.241, 0.260, 0.643], [0.241, 0.643, 0.260], [0.277, 0.361, 0.738], [0.277, 0.738, 0.361], [0.287, 0.733, 0.733], [0.305, 0.275, 0.275], [0.312, 0.366, 0.366], [0.314, 0.636, 0.636], [0.500, 0.013, 0.448], [0.500, 0.084, 0.678], [0.500, 0.321, 0.944], [0.500, 0.448, 0.013], [0.500, 0.494, 0.494], [0.500, 0.678, 0.084], [0.500, 0.944, 0.321], [0.686, 0.636, 0.636], [0.688, 0.366, 0.366], [0.695, 0.275, 0.275], [0.713, 0.733, 0.733], [0.723, 0.361, 0.738], [0.723, 0.738, 0.361], [0.759, 0.260, 0.643], [0.759, 0.643, 0.260], [0.782, 0.646, 0.984], [0.782, 0.984, 0.646], [0.783, 0.100, 0.100], [0.806, 0.901, 0.901], [0.814, 0.004, 0.367], [0.814, 0.367, 0.004]]
}

{
  "formula": "Sr2NbAlO6",
  "functional": "PBE",
  "state": "optimized geometry",
  "dft_energy_ev_per_fu": -76.46,
  "formation_energy_ev_per_atom": -3.367,
  "cell": [[0.000, 3.939, 3.939], [3.939, 0.000, 3.939], [3.939, 3.939, 0.000]],
  "species": ["Sr", "Sr", "Nb", "Al", "O", "O", "O", "O", "O", "O"],
  "frac_coords": [[0.250, 0.250, 0.250], [0.750, 0.750, 0.750], [0.000, 0.000, 0.000], [0.500, 0.500, 0.500], [0.255, 0.255, 0.745], [0.255, 0.745, 0.255], [0.255, 0.745, 0.745], [0.745, 0.255, 0.255], [0.745, 0.255, 0.745], [0.745, 0.745, 0.255]]
}

{
  "formula": "BaH4O6",
  "functional": "PBE",
  "state": "optimized geometry",
  "dft_energy_ev_per_fu": -55.33,
  "formation_energy_ev_per_atom": -1.298,
  "cell": [[6.122, 0.000, 0.000], [-0.471, 6.163, 0.000], [-0.351, -0.674, 6.589]],
  "species": ["Ba", "Ba", "H", "H", "H", "H", "H", "H", "H", "H", "O", "O", "O", "O", "O", "O", "O", "O", "O", "O", "O", "O"],
  "frac_coords": [[0.000, 0.000, 0.000], [0.289, 0.593, 0.447], [0.025, 0.453, 0.914], [0.175, 0.146, 0.563], [0.471, 0.727, 0.996], [0.493, 0.057, 0.279], [0.628, 0.849, 0.719], [0.772, 0.524, 0.180], [0.789, 0.835, 0.426], [0.831, 0.470, 0.641], [0.062, 0.548, 0.065], [0.194, 0.257, 0.699], [0.196, 0.015, 0.374], [0.364, 0.152, 0.278], [0.375, 0.780, 0.871], [0.532, 0.944, 0.797], [0.599, 0.674, 0.163], [0.683, 0.885, 0.280], [0.726, 0.587, 0.606], [0.883, 0.776, 0.578], [0.908, 0.428, 0.188], [0.970, 0.319, 0.743]]
}

{
  "formula": "Li2BiB2O6",
  "functional": "PBE",
  "state": "optimized geometry",
  "dft_energy_ev_per_fu": -72.31,
  "formation_energy_ev_per_atom": -2.334,
  "cell": [[8.638, 0.000, 0.000], [0.000, 6.399, 0.000], [-4.690, 0.000, 9.411]],
  "species": ["Li", "Li", "Li", "Li", "Li", "Li", "Li", "Li", "Bi", "Bi", "Bi", "Bi", "B", "B", "B", "B", "B", "B", "B", "B", "O", "O", "O", "O", "O", "O", "O", "O", "O", "O", "O", "O", "O", "O", "O", "O", "O", "O", "O", "O", "O", "O", "O", "O"],
  "frac_coords": [[0.096, 0.220, 0.485], [0.096, 0.280, 0.985], [0.328, 0.739, 0.548], [0.328, 0.761, 0.048], [0.672, 0.239, 0.952], [0.672, 0.261, 0.452], [0.904, 0.720, 0.015], [0.904, 0.780, 0.515], [0.305, 0.024, 0.291], [0.305, 0.476, 0.791], [0.695, 0.524, 0.209], [0.695, 0.976, 0.709], [0.034, 0.660, 0.813], [0.034, 0.840, 0.313], [0.441, 0.179, 0.110], [0.441, 0.321, 0.610], [0.559, 0.679, 0.390], [0.559, 0.821, 0.890], [0.966, 0.160, 0.687], [0.966, 0.340, 0.187], [0.073, 0.690, 0.700], [0.073, 0.810, 0.200], [0.111, 0.227, 0.678], [0.111, 0.273, 0.178], [0.159, 0.551, 0.929], [0.159, 0.949, 0.429], [0.292, 0.061, 0.060], [0.292, 0.439, 0.560], [0.461, 0.703, 0.245], [0.461, 0.797, 0.745], [0.493, 0.212, 0.522], [0.493, 0.288, 0.022], [0.507, 0.712, 0.978], [0.507, 0.788, 0.478], [0.539, 0.203, 0.255], [0.539, 0.297, 0.755], [0.708, 0.561, 0.440], [0.708, 0.939, 0.940], [0.841, 0.051, 0.571], [0.841, 0.449, 0.071], [0.889, 0.727, 0.822], [0.889, 0.773, 0.322], [0.927, 0.190, 0.800], [0.927, 0.310, 0.300]]
}

{
  "formula": "BaCu4O7",
  "functional": "PBE",
  "state": "optimized geometry",
  "dft_energy_ev_per_fu": -60.11,
  "formation_energy_ev_per_atom": -0.997,
  "cell": [[6.396, 0.000, 0.000], [-3.198, 5.539, 0.000], [0.000, 0.000, 10.321]],
  "species": ["Ba", "Ba", "Cu", "Cu", "Cu", "Cu", "Cu", "Cu", "Cu", "Cu", "O", "O", "O", "O", "O", "O", "O", "O", "O", "O", "O", "O", "O", "O"],
  "frac_coords": [[0.333, 0.667, 0.000], [0.667, 0.333, 0.500], [0.000, 0.000, 0.445], [0.000, 0.000, 0.945], [0.170, 0.339, 0.698], [0.170, 0.830, 0.698], [0.339, 0.170, 0.198], [0.661, 0.830, 0.698], [0.830, 0.170, 0.198], [0.830, 0.661, 0.198], [0.000, 0.000, 0.260], [0.000, 0.000, 0.760], [0.037, 0.519, 0.762], [0.152, 0.303, 0.520], [0.152, 0.848, 0.520], [0.303, 0.152, 0.020], [0.481, 0.519, 0.762], [0.481, 0.963, 0.762], [0.519, 0.037, 0.262], [0.519, 0.481, 0.262], [0.697, 0.848, 0.520], [0.848, 0.152, 0.020], [0.848, 0.697, 0.020], [0.963, 0.481, 0.262]]
}

{
  "formula": "Ba2ZnB6O12",
  "functional": "PBE",
  "state": "optimized geometry",
  "dft_energy_ev_per_fu": -157.72,
  "formation_energy_ev_per_atom": -2.924,
  "cell": [[7.233, 0.000, 0.000], [-3.607, 6.317, 0.000], [-0.941, -2.026, 12.088]],
  "species": ["Ba", "Ba", "Ba", "Ba", "Zn", "Zn", "B", "B", "B", "B", "B", "B", "B", "B", "B", "B", "B", "B", "O", "O", "O", "O", "O", "O", "O", "O", "O", "O", "O", "O", "O", "O", "O", "O", "O", "O", "O", "O", "O", "O", "O", "O"],
  "frac_coords": [[0.155, 0.319, 0.450], [0.236, 0.417, 0.786], [0.764, 0.583, 0.214], [0.845, 0.681, 0.550], [0.389, 0.860, 0.084], [0.611, 0.140, 0.916], [0.121, 0.048, 0.132], [0.135, 0.826, 0.882], [0.247, 0.427, 0.123], [0.250, 0.920, 0.376], [0.363, 0.829, 0.629], [0.497, 0.217, 0.630], [0.503, 0.783, 0.370], [0.637, 0.171, 0.371], [0.750, 0.080, 0.624], [0.753, 0.573, 0.877], [0.865, 0.174, 0.118], [0.879, 0.952, 0.868], [0.036, 0.385, 0.126], [0.054, 0.891, 0.382], [0.090, 0.987, 0.867], [0.146, 0.877, 0.128], [0.196, 0.632, 0.627], [0.287, 0.258, 0.133], [0.294, 0.751, 0.372], [0.332, 0.007, 0.636], [0.338, 0.863, 0.908], [0.411, 0.616, 0.109], [0.426, 0.129, 0.376], [0.462, 0.379, 0.625], [0.538, 0.621, 0.375], [0.574, 0.871, 0.624], [0.589, 0.384, 0.891], [0.662, 0.137, 0.092], [0.668, 0.993, 0.364], [0.706, 0.249, 0.628], [0.713, 0.742, 0.867], [0.804, 0.368, 0.373], [0.854, 0.123, 0.872], [0.910, 0.013, 0.133], [0.946, 0.109, 0.618], [0.964, 0.615, 0.874]]
}

{
  "formula": "Gd3Se3N",
  "functional": "PBE",
  "state": "optimized geometry",
  "dft_energy_ev_per_fu": -74.01,
  "formation_energy_ev_per_atom": -1.902,
  "cell": [[12.694, 0.000, 0.000], [0.000, 4.016, 0.000], [0.000, 0.000, 13.294]],
  "species": ["Gd", "Gd", "Gd", "Gd", "Gd", "Gd", "Gd", "Gd", "Gd", "Gd", "Gd", "Gd", "Se", "Se", "Se", "Se", "Se", "Se", "Se", "Se", "Se", "Se", "Se", "Se", "N", "N", "N", "N"],
  "frac_coords": [[0.041, 0.250, 0.151], [0.065, 0.250, 0.633], [0.206, 0.250, 0.859], [0.294, 0.750, 0.359], [0.435, 0.750, 0.133], [0.459, 0.750, 0.651], [0.541, 0.250, 0.349], [0.565, 0.250, 0.867], [0.706, 0.250, 0.641], [0.794, 0.750, 0.141], [0.935, 0.750, 0.367], [0.959, 0.750, 0.849], [0.095, 0.250, 0.396], [0.130, 0.750, 0.995], [0.225, 0.750, 0.689], [0.275, 0.250, 0.189], [0.370, 0.250, 0.495], [0.405, 0.750, 0.896], [0.595, 0.250, 0.104], [0.630, 0.750, 0.505], [0.725, 0.750, 0.811], [0.775, 0.250, 0.311], [0.870, 0.250, 0.005], [0.905, 0.750, 0.604], [0.039, 0.250, 0.797], [0.461, 0.750, 0.297], [0.539, 0.250, 0.703], [0.961, 0.750, 0.203]]
}

{
  "formula": "ErZr6P9O36",
  "functional": "PBE",
  "state": "optimized geometry",
  "dft_energy_ev_per_fu": -426.37,
  "formation_energy_ev_per_atom": -3.239,
  "cell": [[8.947, 0.000, 0.000], [-4.473, 7.748, 0.000], [0.000, 0.000, 22.960]],
  "species": ["Er", "Er", "Zr", "Zr", "Zr", "Zr", "Zr", "Zr", "Zr", "Zr", "Zr", "Zr", "Zr", "Zr", "P", "P", "P", "P", "P", "P", "P", "P", "P", "P", "P", "P", "P", "P", "P", "P", "P", "P", "O", "O", "O", "O", "O", "O", "O", "O", "O", "O", "O", "O", "O", "O", "O", "O", "O", "O", "O", "O", "O", "O", "O", "O", "O", "O", "O", "O", "O", "O", "O", "O", "O", "O", "O", "O", "O", "O", "O", "O", "O", "O", "O", "O", "O", "O", "O", "O", "O", "O", "O", "O", "O", "O", "O", "O", "O", "O", "O", "O", "O", "O", "O", "O", "O", "O", "O", "O", "O", "O", "O", "O"],
  "frac_coords": [[0.000, 0.000, 0.000], [0.000, 0.000, 0.500], [0.000, 0.000, 0.149], [0.000, 0.000, 0.351], [0.000, 0.000, 0.649], [0.000, 0.000, 0.851], [0.333, 0.667, 0.028], [0.333, 0.667, 0.313], [0.333, 0.667, 0.528], [0.333, 0.667, 0.813], [0.667, 0.333, 0.187], [0.667, 0.333, 0.472], [0.667, 0.333, 0.687], [0.667, 0.333, 0.972], [0.000, 0.292, 0.250], [0.000, 0.708, 0.750], [0.053, 0.372, 0.922], [0.053, 0.681, 0.422], [0.292, 0.000, 0.250], [0.292, 0.292, 0.750], [0.319, 0.372, 0.422], [0.319, 0.947, 0.922], [0.372, 0.053, 0.578], [0.372, 0.319, 0.078], [0.628, 0.681, 0.922], [0.628, 0.947, 0.422], [0.681, 0.053, 0.078], [0.681, 0.628, 0.578], [0.708, 0.000, 0.750], [0.708, 0.708, 0.250], [0.947, 0.319, 0.578], [0.947, 0.628, 0.078], [0.007, 0.176, 0.922], [0.007, 0.831, 0.422], [0.029, 0.205, 0.196], [0.029, 0.825, 0.696], [0.117, 0.492, 0.574], [0.117, 0.625, 0.074], [0.145, 0.461, 0.865], [0.145, 0.684, 0.365], [0.160, 0.468, 0.259], [0.160, 0.691, 0.759], [0.169, 0.176, 0.422], [0.169, 0.993, 0.922], [0.172, 0.453, 0.974], [0.172, 0.719, 0.474], [0.175, 0.205, 0.696], [0.175, 0.971, 0.196], [0.176, 0.007, 0.578], [0.176, 0.169, 0.078], [0.205, 0.029, 0.304], [0.205, 0.175, 0.804], [0.281, 0.453, 0.474], [0.281, 0.828, 0.974], [0.309, 0.468, 0.759], [0.309, 0.840, 0.259], [0.316, 0.461, 0.365], [0.316, 0.855, 0.865], [0.375, 0.492, 0.074], [0.375, 0.883, 0.574], [0.453, 0.172, 0.526], [0.453, 0.281, 0.026], [0.461, 0.145, 0.635], [0.461, 0.316, 0.135], [0.468, 0.160, 0.241], [0.468, 0.309, 0.741], [0.492, 0.117, 0.926], [0.492, 0.375, 0.426], [0.508, 0.625, 0.574], [0.508, 0.883, 0.074], [0.532, 0.691, 0.259], [0.532, 0.840, 0.759], [0.539, 0.684, 0.865], [0.539, 0.855, 0.365], [0.547, 0.719, 0.974], [0.547, 0.828, 0.474], [0.625, 0.117, 0.426], [0.625, 0.508, 0.926], [0.684, 0.145, 0.135], [0.684, 0.539, 0.635], [0.691, 0.160, 0.741], [0.691, 0.532, 0.241], [0.719, 0.172, 0.026], [0.719, 0.547, 0.526], [0.795, 0.825, 0.196], [0.795, 0.971, 0.696], [0.824, 0.831, 0.922], [0.824, 0.993, 0.422], [0.825, 0.029, 0.804], [0.825, 0.795, 0.304], [0.828, 0.281, 0.526], [0.828, 0.547, 0.026], [0.831, 0.007, 0.078], [0.831, 0.824, 0.578], [0.840, 0.309, 0.241], [0.840, 0.532, 0.741], [0.855, 0.316, 0.635], [0.855, 0.539, 0.135], [0.883, 0.375, 0.926], [0.883, 0.508, 0.426], [0.971, 0.175, 0.304], [0.971, 0.795, 0.804], [0.993, 0.169, 0.578], [0.993, 0.824, 0.078]]
}